#a
Compound: KMg14Ga
Source: Materials Project
Functional: GGA-PBE
Structure: relaxed

Space group = Amm2
Crystal system = orthorhombic

Lattice parameters (Å, degrees): 6.461 6.508 10.553 90.00 90.00 120.24
Positions (direct):
1 Mg 0.667 0.335 0.625
2 Mg 0.334 0.676 0.383
3 Mg 0.166 0.833 0.625
4 Mg 0.823 0.162 0.388
5 Mg 0.836 0.668 0.366
6 Mg 0.667 0.831 0.625
7 Mg 0.334 0.158 0.383
8 Mg 0.661 0.837 0.125
9 Mg 0.823 0.162 0.862
10 Mg 0.334 0.158 0.867
11 Mg 0.661 0.324 0.125
12 Mg 0.168 0.334 0.625
13 Mg 0.836 0.668 0.884
14 Mg 0.334 0.676 0.867
15 K 0.165 0.332 0.125
16 Ga 0.191 0.845 0.125

***

#b
Compound: KMg14Ga
Source: Materials Project
Functional: GGA-PBE
Structure: relaxed

Space group = P-6m2
Crystal system = hexagonal

Lattice parameters (Å, degrees): 6.458 6.458 10.676 90.00 90.00 120.00
Positions (direct):
1 Mg 0.830 0.165 0.862
2 Mg 0.668 0.832 0.625
3 Mg 0.335 0.670 0.862
4 Mg 0.335 0.165 0.388
5 Mg 0.335 0.165 0.862
6 Mg 0.172 0.836 0.125
7 Mg 0.833 0.667 0.370
8 Mg 0.830 0.165 0.388
9 Mg 0.664 0.328 0.125
10 Mg 0.833 0.667 0.880
11 Mg 0.335 0.670 0.388
12 Mg 0.668 0.336 0.625
13 Mg 0.164 0.832 0.625
14 Mg 0.664 0.836 0.125
15 K 0.167 0.333 0.125
16 Ga 0.167 0.333 0.625

***

Which structure above is the least stable one? #b is the least stable one.